VASP calculation (PBE+U) on crystalline Li9Mn7O16 at its relaxed geometry.

Computed properties:
Relative energy among the computed polymorphs   8 meV per atom
Energy of formation from the pure elements   -206.2 kJ/mol of atoms

Lattice parameters (Å, degrees): 5.0946 7.6934 8.1335 79.98 86.06 72.64
Last column: nearest neighbours and their distance in Å.
Element x y z (fractional)
Li: 0.0000 0.0000 0.0000  6 O 2.08-2.26
Li: 0.4854 0.9391 0.1821  5 O 2.09-2.23
Li: 0.4902 0.6933 0.9389  6 O 2.05-2.25
Li: 0.4931 0.4381 0.6997  5 O 2.00-2.18
Li: 0.4987 0.8131 0.5669  6 O 2.13-2.21
Li: 0.5013 0.1869 0.4331  6 O 2.13-2.21
Li: 0.5069 0.5619 0.3003  5 O 2.00-2.18
Li: 0.5098 0.3067 0.0611  6 O 2.05-2.25
Li: 0.5146 0.0609 0.8179  5 O 2.09-2.23
Mn: 0.0000 0.5000 0.5000  4 O 1.97-1.99
Mn: 0.0013 0.8767 0.3685  5 O 1.95-2.17
Mn: 0.0043 0.2479 0.2447  6 O 1.94-2.05
Mn: 0.0062 0.6279 0.1228  4 O 1.91-2.00
Mn: 0.9938 0.3721 0.8772  4 O 1.91-2.00
Mn: 0.9957 0.7521 0.7553  6 O 1.94-2.05
Mn: 0.9987 0.1233 0.6315  5 O 1.95-2.17
O: 0.2083 0.6684 0.5452  3 Mn 1.99-2.05, 2 Li 2.13-2.18
O: 0.2161 0.1764 0.0459  2 Mn 1.95-1.98, 3 Li 2.05-2.11
O: 0.2305 0.4064 0.2726  2 Mn 1.96-2.00, 2 Li 2.13-2.15
O: 0.2296 0.5362 0.8902  2 Mn 1.94-2.00, 2 Li 2.07-2.14
O: 0.2314 0.0344 0.3896  2 Mn 1.95-1.96, 2 Li 2.14-2.15
O: 0.2314 0.9056 0.7693  2 Mn 1.94-1.95, 2 Li 2.12-2.14
O: 0.2342 0.2829 0.6421  2 Mn 1.97, 2 Li 2.15-2.19
O: 0.2412 0.7697 0.1577  1 Mn 1.91, 3 Li 2.00-2.10
O: 0.7588 0.2303 0.8423  1 Mn 1.91, 3 Li 2.00-2.10
O: 0.7658 0.7171 0.3579  2 Mn 1.97, 2 Li 2.15-2.19
O: 0.7686 0.0944 0.2307  2 Mn 1.94-1.95, 2 Li 2.12-2.14
O: 0.7686 0.9656 0.6104  2 Mn 1.95-1.96, 2 Li 2.14-2.15
O: 0.7704 0.4638 0.1098  2 Mn 1.94-2.00, 2 Li 2.07-2.14
O: 0.7695 0.5936 0.7274  2 Mn 1.96-2.00, 2 Li 2.13-2.15
O: 0.7839 0.8236 0.9541  2 Mn 1.95-1.98, 3 Li 2.05-2.11
O: 0.7917 0.3316 0.4548  3 Mn 1.99-2.05, 2 Li 2.13-2.18